A relaxed Hg4P2O7 crystal, computed with meta-GGA r2SCAN.

abc: 9.2026 4.8978 12.2550
angles: 90.00 128.93 90.00
Fractional coordinates of all 26 atoms:
Hg 0.0585 0.0587 0.3766
Hg 0.0585 0.9413 0.8766
Hg 0.4180 0.1752 0.9010
Hg 0.4180 0.8248 0.4010
Hg 0.5820 0.1752 0.5990
Hg 0.5820 0.8248 0.0990
Hg 0.9415 0.0587 0.1234
Hg 0.9415 0.9413 0.6234
P 0.2935 0.3996 0.1438
P 0.2935 0.6004 0.6438
P 0.7065 0.3996 0.3562
P 0.7065 0.6004 0.8562
O 0.1658 0.1512 0.0780
O 0.1658 0.8488 0.5780
O 0.2528 0.4548 0.7320
O 0.2528 0.5452 0.2320
O 0.2923 0.4240 0.5425
O 0.2923 0.5760 0.0425
O 0.5000 0.2653 0.2500
O 0.5000 0.7347 0.7500
O 0.7077 0.4240 0.9575
O 0.7077 0.5760 0.4575
O 0.7472 0.4548 0.7680
O 0.7472 0.5452 0.2680
O 0.8342 0.1512 0.4220
O 0.8342 0.8488 0.9220

Summary:
DFT formation energy in eV/f.u.: -19.5
VASP energy in hartree per atom: -0.782